(1)
AlV2O4: relaxed, PBE with a Hubbard U.

Results
**Energy relative to the lowest polymorph listed for this composition**: 36 meV per atom
**Density**: 4.3 Mg/m³
**Corrected total energy (MP2020 scheme)**: -8.687 eV/atom
**Calculated formation energy**: -2728.8 meV per atom
**V**: 298 Å³ per cell
**Space-group type**: No. 2

```
AlV2O4
1.0
5.958 0.000 0.000
0.112 6.009 0.000
0.032 0.030 8.332
Al V O
4 8 16
direct
0.002 0.248 0.129
0.498 0.751 0.627
0.502 0.249 0.373
0.998 0.752 0.871
0.000 0.000 0.500
0.000 0.500 0.500
0.245 0.252 0.747
0.258 0.748 0.244
0.500 0.000 0.000
0.500 0.500 0.000
0.742 0.252 0.756
0.755 0.748 0.253
0.004 0.001 0.254
0.008 0.495 0.251
0.246 0.247 0.493
0.249 0.752 0.501
0.251 0.754 0.991
0.252 0.246 0.004
0.493 0.504 0.750
0.498 0.995 0.754
0.502 0.005 0.246
0.507 0.496 0.250
0.748 0.754 0.996
0.749 0.246 0.009
0.751 0.248 0.499
0.754 0.753 0.507
0.992 0.505 0.749
0.996 0.999 0.746
```

(2)
SrMnO3: relaxed, PBE with a Hubbard U.

Results
**Density**: 5.2 Mg/m³
**Corrected total energy (MP2020 scheme)**: -7.624 eV/atom
**Calculated formation energy**: -2484.8 meV per atom
**V**: 362 Å³ per cell
**Space-group type**: No. 194

```
SrMnO3
1.0
5.530 0.000 0.000
-2.765 4.789 0.000
0.000 0.000 13.672
Sr Mn O
6 6 18
direct
0.000 0.000 0.250
0.000 0.000 0.750
0.333 0.667 0.088
0.333 0.667 0.412
0.667 0.333 0.588
0.667 0.333 0.912
0.000 0.000 0.000
0.000 0.000 0.500
0.333 0.667 0.656
0.333 0.667 0.844
0.667 0.333 0.156
0.667 0.333 0.344
0.029 0.514 0.750
0.164 0.329 0.582
0.164 0.329 0.918
0.164 0.836 0.582
0.164 0.836 0.918
0.329 0.164 0.082
0.329 0.164 0.418
0.486 0.514 0.750
0.486 0.971 0.750
0.514 0.029 0.250
0.514 0.486 0.250
0.671 0.836 0.582
0.671 0.836 0.918
0.836 0.164 0.082
0.836 0.164 0.418
0.836 0.671 0.082
0.836 0.671 0.418
0.971 0.486 0.250
```

(3)
Mn5P4H6O20: relaxed, PBE with a Hubbard U.

Results
**Density**: 3.2 Mg/m³
**Corrected total energy (MP2020 scheme)**: -7.425 eV/atom
**Calculated formation energy**: -2088.7 meV per atom
**V**: 744 Å³ per cell
**Space-group type**: No. 15

```
Mn5P4H6O20
1.0
8.813 -4.593 0.000
8.813 4.593 0.000
-1.547 0.000 9.196
Mn P H O
10 8 12 40
direct
0.100 0.900 0.750
0.155 0.204 0.884
0.204 0.155 0.384
0.228 0.385 0.176
0.385 0.228 0.676
0.615 0.772 0.324
0.772 0.615 0.824
0.796 0.845 0.616
0.845 0.796 0.116
0.900 0.100 0.250
0.098 0.580 0.862
0.100 0.725 0.394
0.275 0.900 0.106
0.420 0.902 0.638
0.580 0.098 0.362
0.725 0.100 0.894
0.900 0.275 0.606
0.902 0.420 0.138
0.252 0.702 0.989
0.298 0.748 0.511
0.345 0.513 0.721
0.394 0.522 0.148
0.478 0.606 0.352
0.487 0.655 0.779
0.513 0.345 0.221
0.522 0.394 0.648
0.606 0.478 0.852
0.655 0.487 0.279
0.702 0.252 0.489
0.748 0.298 0.011
0.017 0.151 0.723
0.028 0.794 0.545
0.063 0.606 0.026
0.071 0.333 0.229
0.133 0.558 0.338
0.151 0.017 0.223
0.191 0.659 0.839
0.198 0.396 0.819
0.206 0.972 0.955
0.212 0.292 0.535
0.271 0.708 0.411
0.292 0.212 0.035
0.292 0.729 0.089
0.333 0.071 0.729
0.341 0.809 0.661
0.394 0.937 0.474
0.396 0.198 0.319
0.411 0.419 0.650
0.419 0.411 0.150
0.442 0.867 0.162
0.558 0.133 0.838
0.581 0.589 0.850
0.589 0.581 0.350
0.604 0.802 0.681
0.606 0.063 0.526
0.659 0.191 0.339
0.667 0.929 0.271
0.708 0.271 0.911
0.708 0.788 0.965
0.729 0.292 0.589
0.788 0.708 0.465
0.794 0.028 0.045
0.802 0.604 0.181
0.809 0.341 0.161
0.849 0.983 0.777
0.867 0.442 0.662
0.929 0.667 0.771
0.937 0.394 0.974
0.972 0.206 0.455
0.983 0.849 0.277
```

(4)
MgV2Hg2O6: relaxed, PBE with a Hubbard U.

Results
**Density**: 5.1 Mg/m³
**Corrected total energy (MP2020 scheme)**: -6.485 eV/atom
**Calculated formation energy**: -1934.2 meV per atom
**V**: 204 Å³ per cell
**Space-group type**: No. 1

```
MgV2Hg2O6
1.0
3.618 0.000 0.000
-0.076 6.845 0.000
-0.075 -0.165 8.224
Mg V Hg O
1 2 2 6
direct
0.000 0.000 0.000
0.496 0.118 0.698
0.985 0.911 0.433
0.451 0.413 0.209
0.973 0.603 0.889
0.489 0.995 0.480
0.499 0.355 0.685
0.500 0.064 0.914
0.981 0.675 0.452
0.983 0.956 0.229
0.993 0.037 0.674
```

Repeat the second record exactly.
SrMnO3: relaxed, PBE with a Hubbard U.

Results
**Density**: 5.2 Mg/m³
**Corrected total energy (MP2020 scheme)**: -7.624 eV/atom
**Calculated formation energy**: -2484.8 meV per atom
**V**: 362 Å³ per cell
**Space-group type**: No. 194

```
SrMnO3
1.0
5.530 0.000 0.000
-2.765 4.789 0.000
0.000 0.000 13.672
Sr Mn O
6 6 18
direct
0.000 0.000 0.250
0.000 0.000 0.750
0.333 0.667 0.088
0.333 0.667 0.412
0.667 0.333 0.588
0.667 0.333 0.912
0.000 0.000 0.000
0.000 0.000 0.500
0.333 0.667 0.656
0.333 0.667 0.844
0.667 0.333 0.156
0.667 0.333 0.344
0.029 0.514 0.750
0.164 0.329 0.582
0.164 0.329 0.918
0.164 0.836 0.582
0.164 0.836 0.918
0.329 0.164 0.082
0.329 0.164 0.418
0.486 0.514 0.750
0.486 0.971 0.750
0.514 0.029 0.250
0.514 0.486 0.250
0.671 0.836 0.582
0.671 0.836 0.918
0.836 0.164 0.082
0.836 0.164 0.418
0.836 0.671 0.082
0.836 0.671 0.418
0.971 0.486 0.250
```

> Number 3 is which compound?

Mn5P4H6O20

> What is the formula in the second record?

SrMnO3